# Li2SiNiO4 PBE+U relaxed
# energy above the most stable polymorph in this dataset	0.08	eV per formula unit
# total magnetization	8.00	Bohr magnetons per cell
# energy of formation from the pure elements	-2441	meV/atom
data_Li2SiNiO4
_cell_length_a 10.922
_cell_length_b 6.222
_cell_length_c 4.962
_cell_angle_alpha 90.00
_cell_angle_beta 90.00
_cell_angle_gamma 90.00
_space_group_name_H-M_alt 'P n a 21'
_space_group_IT_number 33
_space_group_name_Hall 'P 2c -2n'
loop_
_atom_site_label
_atom_site_type_symbol
_atom_site_fract_x
_atom_site_fract_y
_atom_site_fract_z
_atom_site_occupancy
Li1 Li 0.088 0.243 0.000 1
Li2 Li 0.175 0.498 0.500 1
Si1 Si 0.165 0.998 0.508 1
Ni1 Ni 0.082 0.744 0.998 1
O1 O 0.093 0.218 0.405 1
O2 O 0.093 0.778 0.399 1
O3 O 0.164 0.994 0.841 1
O4 O 0.192 0.501 0.903 1